(1)
The following is a DFT calculation (PBE-GGA) of a geometry-optimized Al2Tl3P3O12 structure.

Values from the calculation:
Crystal system   orthorhombic
Energy above the most stable polymorph in this dataset   5 meV per atom
Magnetic moment   0.00 μB/f.u.

a b c (Å): 6.223 18.061 10.546
angles (deg): 90.00 90.00 90.00
Space group Pnma (No. 62)
One atom of each set of equivalent atoms:
Al1 0.243 0.083 0.083 (multiplicity 8)
Tl1 0.234 0.750 0.859 (multiplicity 4)
Tl2 0.235 0.641 0.158 (multiplicity 8)
P1 0.242 0.750 0.494 (multiplicity 4)
P2 0.249 0.040 0.373 (multiplicity 8)
O1 0.034 0.750 0.414 (multiplicity 4)
O2 0.040 0.078 0.425 (multiplicity 8)
O3 0.058 0.250 0.912 (multiplicity 4)
O4 0.070 0.593 0.910 (multiplicity 8)
O5 0.212 0.038 0.930 (multiplicity 8)
O6 0.239 0.029 0.228 (multiplicity 8)
O7 0.246 0.683 0.587 (multiplicity 8)

(2)
The following is a DFT calculation (PBE-GGA) of a geometry-optimized Al22PbO34 structure.

Values from the calculation:
Crystal system   monoclinic
Magnetic moment   0.00 μB/f.u.

a b c (Å): 9.782 11.307 11.892
angles (deg): 90.00 105.71 90.00
Space group P2_1/m (No. 11)
One atom of each set of equivalent atoms:
Al1 0.000 0.000 0.000 (multiplicity 2)
Al2 0.050 0.250 0.648 (multiplicity 2)
Al3 0.054 0.750 0.648 (multiplicity 2)
Al4 0.096 0.000 0.784 (multiplicity 4)
Al5 0.149 0.750 0.947 (multiplicity 2)
Al6 0.151 0.250 0.952 (multiplicity 2)
Al7 0.152 0.624 0.205 (multiplicity 4)
Al8 0.154 0.127 0.217 (multiplicity 4)
Al9 0.344 0.124 0.784 (multiplicity 4)
Al10 0.346 0.623 0.789 (multiplicity 4)
Al11 0.350 0.001 0.049 (multiplicity 4)
Al12 0.401 0.250 0.212 (multiplicity 2)
Al13 0.403 0.750 0.209 (multiplicity 2)
Al14 0.450 0.001 0.351 (multiplicity 4)
Al15 0.500 0.250 0.999 (multiplicity 2)
Pb1 0.298 0.750 0.470 (multiplicity 2)
O1 0.044 0.618 0.900 (multiplicity 4)
O2 0.045 0.119 0.901 (multiplicity 4)
O3 0.045 0.750 0.499 (multiplicity 2)
O4 0.094 0.502 0.281 (multiplicity 4)
O5 0.096 0.250 0.294 (multiplicity 2)
O6 0.102 0.750 0.289 (multiplicity 2)
O7 0.154 0.125 0.710 (multiplicity 4)
O8 0.157 0.624 0.713 (multiplicity 4)
O9 0.190 0.502 0.098 (multiplicity 4)
O10 0.203 0.250 0.112 (multiplicity 2)
O11 0.203 0.750 0.109 (multiplicity 2)
O12 0.296 0.001 0.889 (multiplicity 4)
O13 0.310 0.250 0.901 (multiplicity 2)
O14 0.311 0.750 0.902 (multiplicity 2)
O15 0.343 0.629 0.294 (multiplicity 4)
O16 0.345 0.125 0.287 (multiplicity 4)
O17 0.405 0.000 0.713 (multiplicity 4)
O18 0.406 0.750 0.717 (multiplicity 2)
O19 0.408 0.250 0.718 (multiplicity 2)
O20 0.452 0.632 0.100 (multiplicity 4)
O21 0.455 0.133 0.098 (multiplicity 4)
O22 0.500 0.000 0.500 (multiplicity 2)

(3)
The following is a DFT calculation (PBE-GGA) of a geometry-optimized AlPbO3 structure.

Values from the calculation:
Crystal system   cubic
Magnetic moment   0.03 μB/f.u.

a b c (Å): 3.834 3.834 3.834
angles (deg): 90.00 90.00 90.00
Space group Pm-3m (No. 221)
One atom of each set of equivalent atoms:
Al1 0.000 0.000 0.000 (multiplicity 1)
Pb1 0.500 0.500 0.500 (multiplicity 1)
O1 0.000 0.000 0.500 (multiplicity 3)

(4)
The following is a DFT calculation (PBE-GGA) of a geometry-optimized AlPb3SO11 structure.

Values from the calculation:
Crystal system   trigonal
Magnetic moment   1.09 μB/f.u.

a b c (Å): 7.4108 7.4108 28.1904
angles (deg): 90.00 90.00 120.00
Space group R3c (No. 161, hexagonal axes)
One atom of each set of equivalent atoms:
Al1 0.0000 0.0000 0.0000 (multiplicity 6)
Pb1 0.1349 0.3625 0.0797 (multiplicity 18)
S1 0.0000 0.0000 0.1852 (multiplicity 6)
O1 0.0000 0.0000 0.1311 (multiplicity 6)
O2 0.0000 0.0000 0.3753 (multiplicity 6)
O3 0.0877 0.5202 0.6283 (multiplicity 18)
O4 0.1874 0.4452 0.2128 (multiplicity 18)
O5 0.2111 0.4474 0.3674 (multiplicity 18)

(5)
The following is a DFT calculation (PBE-GGA) of a geometry-optimized AlSb3Pb4O13 structure.

Values from the calculation:
Crystal system   trigonal
Magnetic moment   0.00 μB/f.u.

a b c (Å): 7.5078 7.5078 18.0315
angles (deg): 90.00 90.00 120.00
Space group R3m (No. 160, hexagonal axes)
One atom of each set of equivalent atoms:
Al1 0.0000 0.0000 0.0000 (multiplicity 3)
Sb1 0.0008 0.5004 0.5011 (multiplicity 9)
Pb1 0.0000 0.0000 0.4984 (multiplicity 3)
Pb2 0.0059 0.5030 0.0015 (multiplicity 9)
O1 0.0000 0.0000 0.6256 (multiplicity 3)
O2 0.0676 0.5338 0.8590 (multiplicity 9)
O3 0.0789 0.5394 0.6073 (multiplicity 9)
O4 0.2021 0.4041 0.4767 (multiplicity 9)
O5 0.2045 0.4089 0.7271 (multiplicity 9)

(6)
The following is a DFT calculation (PBE-GGA) of a geometry-optimized Al2Si2PbO10 structure.

Values from the calculation:
Crystal system   orthorhombic

a b c (Å): 9.056 13.246 5.911
angles (deg): 90.00 90.00 90.00
Space group Pnma (No. 62)
One atom of each set of equivalent atoms:
Al1 0.248 0.001 0.242 (multiplicity 8)
Si1 0.014 0.630 0.489 (multiplicity 8)
Pb1 0.133 0.750 0.984 (multiplicity 4)
O1 0.027 0.250 0.525 (multiplicity 4)
O2 0.109 0.604 0.258 (multiplicity 8)
O3 0.114 0.608 0.717 (multiplicity 8)
O4 0.117 0.250 0.056 (multiplicity 4)
O5 0.145 0.070 0.496 (multiplicity 8)
O6 0.156 0.063 0.990 (multiplicity 8)

(7)
The following is a DFT calculation (PBE-GGA) of a geometry-optimized AlPdO3 structure.

Values from the calculation:
Crystal system   hexagonal
Magnetic moment   1.00 μB/f.u.

a b c (Å): 3.2199 3.2199 11.8640
angles (deg): 90.00 90.00 120.00
Space group P6_3/mmc (No. 194)
One atom of each set of equivalent atoms:
Al1 0.3333 0.6667 0.2500 (multiplicity 2)
Pd1 0.0000 0.0000 0.0000 (multiplicity 2)
O1 0.0000 0.0000 0.2500 (multiplicity 2)
O2 0.3333 0.6667 0.0867 (multiplicity 4)

(8)
The following is a DFT calculation (PBE-GGA) of a geometry-optimized AlPdO3 structure.

Values from the calculation:
Crystal system   monoclinic
Magnetic moment   0.26 μB/f.u.

a b c (Å): 9.580 9.171 5.345
angles (deg): 90.00 101.71 90.00
Space group C2/c (No. 15)
One atom of each set of equivalent atoms:
Al1 0.192 0.085 0.293 (multiplicity 8)
Pd1 0.000 0.219 0.750 (multiplicity 4)
Pd2 0.000 0.404 0.250 (multiplicity 4)
O1 0.111 0.413 0.633 (multiplicity 8)
O2 0.115 0.240 0.111 (multiplicity 8)
O3 0.146 0.069 0.596 (multiplicity 8)

(9)
The following is a DFT calculation (PBE-GGA) of a geometry-optimized PrAlO3 structure.

Values from the calculation:
Crystal system   cubic

a b c (Å): 3.790 3.790 3.790
angles (deg): 90.00 90.00 90.00
Space group Pm-3m (No. 221)
One atom of each set of equivalent atoms:
Pr1 0.000 0.000 0.000 (multiplicity 1)
Al1 0.500 0.500 0.500 (multiplicity 1)
O1 0.000 0.500 0.500 (multiplicity 3)

DFT formation energy / kJ per mole of atoms: -253, -323, -211, -142, -191, -235, -190, -187, -351